1.
# PBE-GGA Er2Si2O7, relaxed
data_Er2Si2O7
_chemical_formula_sum 'Er4 Si4 O14'
_cell_length_a 6.858
_cell_length_b 8.998
_cell_length_c 4.774
_cell_angle_alpha 90.00
_cell_angle_beta 102.08
_cell_angle_gamma 90.00
_symmetry_space_group_name_H-M 'C 1 2/m 1'
_symmetry_Int_Tables_number 12
loop_
_symmetry_equiv_pos_as_xyz
'x,y,z'
'-x,-y,-z'
'-x,y,-z'
'x,-y,z'
'x+1/2,y+1/2,z'
'-x+1/2,-y+1/2,-z'
'-x+1/2,y+1/2,-z'
'x+1/2,-y+1/2,z'
loop_
_atom_site_label
_atom_site_type_symbol
_atom_site_fract_x
_atom_site_fract_y
_atom_site_fract_z
Er1 Er 0.000 0.192 0.000
Si1 Si 0.219 0.500 0.410
O1 O 0.000 0.500 0.500
O2 O 0.117 0.000 0.286
O3 O 0.235 0.350 0.219
# * crystal system: monoclinic
# * E (MP2020): -8.6663 eV per atom

2.
# PBE-GGA Er2SiO5, relaxed
data_Er2SiO5
_chemical_formula_sum 'Er16 Si8 O40'
_cell_length_a 14.449
_cell_length_b 6.735
_cell_length_c 10.390
_cell_angle_alpha 90.00
_cell_angle_beta 122.20
_cell_angle_gamma 90.00
_symmetry_space_group_name_H-M 'C 1 2/c 1'
_symmetry_Int_Tables_number 15
loop_
_symmetry_equiv_pos_as_xyz
'x,y,z'
'-x,-y,-z'
'-x,y,-z+1/2'
'x,-y,z+1/2'
'x+1/2,y+1/2,z'
'-x+1/2,-y+1/2,-z'
'-x+1/2,y+1/2,-z+1/2'
'x+1/2,-y+1/2,z+1/2'
loop_
_atom_site_label
_atom_site_type_symbol
_atom_site_fract_x
_atom_site_fract_y
_atom_site_fract_z
Er1 Er 0.037 0.244 0.466
Er2 Er 0.141 0.123 0.836
Si1 Si 0.182 0.410 0.307
O1 O 0.018 0.096 0.898
O2 O 0.088 0.497 0.139
O3 O 0.119 0.212 0.322
O4 O 0.201 0.429 0.938
O5 O 0.202 0.147 0.676
# * crystal system: monoclinic
# * E (MP2020): -8.7492 eV per atom

3.
# PBE-GGA Er2Si2O7, relaxed
data_Er2Si2O7
_chemical_formula_sum 'Er4 Si4 O14'
_cell_length_a 4.748
_cell_length_b 10.812
_cell_length_c 5.589
_cell_angle_alpha 90.00
_cell_angle_beta 96.21
_cell_angle_gamma 90.00
_symmetry_space_group_name_H-M 'P 1 21/c 1'
_symmetry_Int_Tables_number 14
loop_
_symmetry_equiv_pos_as_xyz
'x,y,z'
'-x,-y,-z'
'-x,y+1/2,-z+1/2'
'x,-y+1/2,z+1/2'
loop_
_atom_site_label
_atom_site_type_symbol
_atom_site_fract_x
_atom_site_fract_y
_atom_site_fract_z
Er1 Er 0.109 0.151 0.408
Si1 Si 0.360 0.612 0.645
O1 O 0.123 0.684 0.459
O2 O 0.203 0.550 0.867
O3 O 0.380 0.203 0.745
O4 O 0.500 0.000 0.000
# * crystal system: monoclinic
# * E (MP2020): -8.6632 eV per atom